The following is a DFT calculation (PBE) of a relaxed structure of Te2Mo3WSe6.

The value obtained for the energy of formation from the pure elements is -0.739 eV per atom. For the energy relative to the lowest polymorph listed for this composition, the calculation gives 0.24 eV per formula unit. As for the energy: -6.57 eV/atom.

The space group is P3m1 (No. 156) and the conventional cell measures 3.3810, 3.3810 and 40.6481 Å, with angles of 90.00, 90.00 and 120.00 degrees. The asymmetric unit holds Te at (0.0000, 0.0000, 0.0000), Te at (0.0000, 0.0000, 0.0931), Mo at (0.0000, 0.0000, 0.2360), Mo at (0.0000, 0.0000, 0.8576), Mo at (0.6667, 0.3333, 0.6703), W at (0.6667, 0.3333, 0.0466), Se at (0.0000, 0.0000, 0.6296), Se at (0.0000, 0.0000, 0.7110), Se at (0.6667, 0.3333, 0.1953), Se at (0.6667, 0.3333, 0.2767), Se at (0.6667, 0.3333, 0.8169) and Se at (0.6667, 0.3333, 0.8983).